Record 1
The following is a meta-GGA r2SCAN calculation of Cu5Sn2Se7 after structural relaxation, from the Materials Project database.

abc: 12.6739 5.6566 8.9624
angles: 90.00 98.07 90.00
Last column: nearest neighbours and their distance in Å.
Space group C2 (No. 5)
One atom of each set of equivalent atoms:
Cu 0.0000 0.0000 0.0000 [2 per cell]  4 Se 2.40-2.41
Cu 0.1459 0.0094 0.4257 [4 per cell]  4 Se 2.38-2.43
Cu 0.2128 0.5031 0.1428 [4 per cell]  4 Se 2.39-2.41
Sn 0.0748 0.4918 0.7244 [4 per cell]  4 Se 2.57-2.66
Se 0.0000 0.7792 0.5000 [2 per cell]  2 Cu 2.43, 2 Sn 2.66
Se 0.0800 0.2369 0.2087 [4 per cell]  3 Cu 2.38-2.41, 1 Sn 2.57
Se 0.1481 0.7694 0.9417 [4 per cell]  3 Cu 2.40-2.41, 1 Sn 2.57
Se 0.2235 0.2368 0.6390 [4 per cell]  3 Cu 2.39-2.40, 1 Sn 2.57

Values from the calculation:
Formation energy from the elements in kJ/mol of formula units: -469

***

Record 2
The following is a meta-GGA r2SCAN calculation of Sr3CoRuO6 after structural relaxation, from the Materials Project database.

abc: 6.6310 6.6335 6.7794
angles: 92.07 92.08 93.39
Last column: nearest neighbours and their distance in Å.
Space group P-1 (No. 2)
One atom of each set of equivalent atoms:
Sr 0.1154 0.2506 0.3885 [2 per cell]  8 O 2.48-2.76
Sr 0.2507 0.1157 0.8887 [2 per cell]  8 O 2.48-2.76
Sr 0.3843 0.6157 0.7499 [2 per cell]  8 O 2.46-2.71
Co 0.2627 0.7369 0.2496 [2 per cell]  4 O 2.07-2.11
Ru 0.0000 0.5000 0.0000 [1 per cell]  6 O 1.96-2.05
Ru 0.5000 0.0000 0.5000 [1 per cell]  6 O 1.96-2.05
O 0.0278 0.3994 0.7141 [2 per cell]  1 Ru 2.05, 1 Co 2.11
O 0.0834 0.7803 0.9477 [2 per cell]  1 Ru 1.96
O 0.2197 0.9175 0.5529 [2 per cell]  1 Ru 1.96
O 0.2914 0.4665 0.0929 [2 per cell]  1 Ru 2.04, 1 Co 2.07
O 0.3993 0.0279 0.2141 [2 per cell]  1 Ru 2.05, 1 Co 2.11
O 0.4672 0.2914 0.5932 [2 per cell]  1 Ru 2.04, 1 Co 2.07

Values from the calculation:
Formation energy from the elements in kJ/mol of formula units: -2416

***

Record 3
The following is a meta-GGA r2SCAN calculation of EuGe after structural relaxation, from the Materials Project database.

abc: 4.6454 11.1859 4.0652
angles: 90.00 90.00 90.00
Last column: nearest neighbours and their distance in Å.
Space group Cmcm (No. 63)
One atom of each set of equivalent atoms:
Eu 0.0000 0.1396 0.2500 [4 per cell]  7 Ge 3.18-3.32
Ge 0.0000 0.4279 0.2500 [4 per cell]  2 Ge 2.59

Values from the calculation:
Formation energy from the elements in kJ/mol of formula units: -156

***

Record 4
The following is a meta-GGA r2SCAN calculation of Tm2CdCu2 after structural relaxation, from the Materials Project database.

abc: 7.3812 7.3812 3.6577
angles: 90.00 90.00 90.00
Last column: nearest neighbours and their distance in Å.
Space group P4/mbm (No. 127)
One atom of each set of equivalent atoms:
Tm 0.1738 0.3262 0.0000 [4 per cell]  6 Cu 2.82-2.87
Cd 0.0000 0.0000 0.5000 [2 per cell]  4 Cu 2.94, 8 Tm 3.28
Cu 0.1204 0.6204 0.5000 [4 per cell]  1 Cu 2.51

Values from the calculation:
Formation energy from the elements in kJ/mol of formula units: -165